Entry 1:
The following is a DFT calculation (r²SCAN) of a geometry-optimized Nd12C6I17 structure.

Its crystal system is monoclinic. The calculated formation energy comes out at -1.363 eV/atom.

a b c (Å): 20.031 12.571 19.291
angles (deg): 90.00 90.86 90.00
Space group C2/c (No. 15)
Unique sites:
Nd 0.004 0.208 0.479 (multiplicity 8)
Nd 0.042 0.008 0.872 (multiplicity 8)
Nd 0.048 0.472 0.348 (multiplicity 8)
Nd 0.073 0.234 0.212 (multiplicity 8)
Nd 0.142 0.000 0.051 (multiplicity 8)
Nd 0.163 0.237 0.383 (multiplicity 8)
C 0.033 0.001 0.512 (multiplicity 8)
C 0.044 0.176 0.351 (multiplicity 8)
C 0.044 0.287 0.348 (multiplicity 8)
I 0.000 0.500 0.000 (multiplicity 4)
I 0.044 0.263 0.861 (multiplicity 8)
I 0.102 0.027 0.709 (multiplicity 8)
I 0.104 0.491 0.197 (multiplicity 8)
I 0.147 0.250 0.060 (multiplicity 8)
I 0.152 0.255 0.550 (multiplicity 8)
I 0.197 0.486 0.399 (multiplicity 8)
I 0.201 0.012 0.900 (multiplicity 8)
I 0.235 0.232 0.246 (multiplicity 8)



Entry 2:
The following is a DFT calculation (r²SCAN) of a geometry-optimized Pr7C3I10 structure.

Its crystal system is triclinic. The calculated formation energy comes out at -1.382 eV/atom.

a b c (Å): 9.757 11.807 14.024
angles (deg): 79.66 71.60 66.07
Space group P-1 (No. 2)
Unique sites:
Pr 0.041 0.294 0.307 (multiplicity 2)
Pr 0.123 0.572 0.359 (multiplicity 2)
Pr 0.246 0.451 0.079 (multiplicity 2)
Pr 0.333 0.743 0.100 (multiplicity 2)
Pr 0.367 0.223 0.413 (multiplicity 2)
Pr 0.451 0.616 0.824 (multiplicity 2)
Pr 0.452 0.079 0.166 (multiplicity 2)
C 0.256 0.388 0.275 (multiplicity 2)
C 0.332 0.275 0.230 (multiplicity 2)
C 0.462 0.557 0.023 (multiplicity 2)
I 0.001 0.721 0.170 (multiplicity 2)
I 0.065 0.157 0.520 (multiplicity 2)
I 0.105 0.577 0.878 (multiplicity 2)
I 0.144 0.025 0.224 (multiplicity 2)
I 0.215 0.453 0.569 (multiplicity 2)
I 0.217 0.894 0.909 (multiplicity 2)
I 0.314 0.745 0.626 (multiplicity 2)
I 0.356 0.195 0.958 (multiplicity 2)
I 0.430 0.632 0.305 (multiplicity 2)
I 0.458 0.065 0.637 (multiplicity 2)



Entry 3:
The following is a DFT calculation (r²SCAN) of a geometry-optimized Sc7CI12 structure.

Its crystal system is triclinic. The calculated formation energy comes out at -1.293 eV/atom.

a b c (Å): 9.287 9.297 9.310
angles (deg): 108.02 107.69 108.00
Space group P1 (No. 1)
Unique sites:
Sc 0.000 0.000 0.000 (multiplicity 1)
Sc 0.058 0.179 0.760 (multiplicity 1)
Sc 0.121 0.357 0.305 (multiplicity 1)
Sc 0.180 0.541 0.058 (multiplicity 1)
Sc 0.365 0.297 0.123 (multiplicity 1)
Sc 0.616 0.794 0.556 (multiplicity 1)
Sc 0.821 0.238 0.938 (multiplicity 1)
C 0.096 0.274 0.036 (multiplicity 1)
I 0.019 0.045 0.334 (multiplicity 1)
I 0.170 0.494 0.731 (multiplicity 1)
I 0.252 0.726 0.416 (multiplicity 1)
I 0.315 0.969 0.110 (multiplicity 1)
I 0.394 0.198 0.811 (multiplicity 1)
I 0.477 0.430 0.490 (multiplicity 1)
I 0.550 0.654 0.193 (multiplicity 1)
I 0.633 0.890 0.888 (multiplicity 1)
I 0.710 0.126 0.574 (multiplicity 1)
I 0.793 0.348 0.255 (multiplicity 1)
I 0.869 0.573 0.960 (multiplicity 1)
I 0.950 0.815 0.652 (multiplicity 1)



Entry 4:
The following is a DFT calculation (r²SCAN) of a geometry-optimized Tb2CI structure.

Its crystal system is hexagonal. The calculated formation energy comes out at -0.962 eV/atom.

a b c (Å): 3.7798 3.7798 14.7479
angles (deg): 90.00 90.00 120.00
Space group P6_3/mmc (No. 194)
Unique sites:
Tb 0.3333 0.6667 0.0856 (multiplicity 4)
C 0.0000 0.0000 0.0000 (multiplicity 2)
I 0.3333 0.6667 0.7500 (multiplicity 2)



Entry 5:
The following is a DFT calculation (r²SCAN) of a geometry-optimized Y6C2I7 structure.

Its crystal system is monoclinic. The calculated formation energy comes out at -1.285 eV/atom.

a b c (Å): 21.769 3.941 12.688
angles (deg): 90.00 122.99 90.00
Space group C2/m (No. 12)
Unique sites:
Y 0.138 0.000 0.057 (multiplicity 4)
Y 0.191 0.500 0.873 (multiplicity 4)
Y 0.235 0.000 0.686 (multiplicity 4)
C 0.219 0.500 0.096 (multiplicity 4)
I 0.000 0.500 0.000 (multiplicity 2)
I 0.057 0.000 0.776 (multiplicity 4)
I 0.110 0.500 0.564 (multiplicity 4)
I 0.161 0.000 0.329 (multiplicity 4)



Entry 6:
The following is a DFT calculation (r²SCAN) of a geometry-optimized Y2CI2 structure.

Its crystal system is trigonal. The calculated formation energy comes out at -1.190 eV/atom.

a b c (Å): 3.8782 3.8782 11.0695
angles (deg): 90.00 90.00 120.00
Space group P-3m1 (No. 164)
Unique sites:
Y 0.3333 0.6667 0.1183 (multiplicity 2)
C 0.0000 0.0000 0.0000 (multiplicity 1)
I 0.3333 0.6667 0.6870 (multiplicity 2)



Entry 7:
The following is a DFT calculation (r²SCAN) of a geometry-optimized Y4CI5 structure.

Its crystal system is monoclinic. The calculated formation energy comes out at -1.307 eV/atom.

a b c (Å): 18.899 3.984 8.565
angles (deg): 90.00 102.93 90.00
Space group C2/m (No. 12)
Unique sites:
Y 0.000 0.000 0.189 (multiplicity 4)
Y 0.130 0.500 0.065 (multiplicity 4)
C 0.000 0.500 0.000 (multiplicity 2)
I 0.000 0.500 0.500 (multiplicity 2)
I 0.165 0.000 0.342 (multiplicity 4)
I 0.169 0.000 0.823 (multiplicity 4)



Entry 8:
The following is a DFT calculation (r²SCAN) of a geometry-optimized La3InC structure.

Its crystal system is cubic. The calculated formation energy comes out at -0.474 eV/atom.

a b c (Å): 5.249 5.249 5.249
angles (deg): 90.00 90.00 90.00
Space group Pm-3m (No. 221)
Unique sites:
La 0.000 0.000 0.500 (multiplicity 3)
In 0.500 0.500 0.500 (multiplicity 1)
C 0.000 0.000 0.000 (multiplicity 1)



Entry 9:
The following is a DFT calculation (r²SCAN) of a geometry-optimized Lu3InC structure.

Its crystal system is cubic. The calculated formation energy comes out at -0.758 eV/atom.

a b c (Å): 4.753 4.753 4.753
angles (deg): 90.00 90.00 90.00
Space group Pm-3m (No. 221)
Unique sites:
Lu 0.000 0.000 0.500 (multiplicity 3)
In 0.500 0.500 0.500 (multiplicity 1)
C 0.000 0.000 0.000 (multiplicity 1)



Entry 10:
The following is a DFT calculation (r²SCAN) of a geometry-optimized Nb2InC structure.

Its crystal system is hexagonal. The calculated formation energy comes out at -0.483 eV/atom.

a b c (Å): 3.1938 3.1938 14.4540
angles (deg): 90.00 90.00 120.00
Space group P6_3/mmc (No. 194)
Unique sites:
Nb 0.3333 0.6667 0.0833 (multiplicity 4)
In 0.3333 0.6667 0.7500 (multiplicity 2)
C 0.0000 0.0000 0.0000 (multiplicity 2)



Entry 11:
The following is a DFT calculation (r²SCAN) of a geometry-optimized Sc3InC structure.

Its crystal system is cubic. The calculated formation energy comes out at -0.798 eV/atom.

a b c (Å): 4.551 4.551 4.551
angles (deg): 90.00 90.00 90.00
Space group Pm-3m (No. 221)
Unique sites:
Sc 0.000 0.000 0.500 (multiplicity 3)
In 0.500 0.500 0.500 (multiplicity 1)
C 0.000 0.000 0.000 (multiplicity 1)



Entry 12:
The following is a DFT calculation (r²SCAN) of a geometry-optimized Ti3InC structure.

Its crystal system is cubic. The calculated formation energy comes out at -0.630 eV/atom.

a b c (Å): 4.236 4.236 4.236
angles (deg): 90.00 90.00 90.00
Space group Pm-3m (No. 221)
Unique sites:
Ti 0.000 0.000 0.500 (multiplicity 3)
In 0.500 0.500 0.500 (multiplicity 1)
C 0.000 0.000 0.000 (multiplicity 1)



Entry 13:
The following is a DFT calculation (r²SCAN) of a geometry-optimized V2InC structure.

Its crystal system is hexagonal. The calculated formation energy comes out at -0.420 eV/atom.

a b c (Å): 3.0106 3.0106 13.5310
angles (deg): 90.00 90.00 120.00
Space group P6_3/mmc (No. 194)
Unique sites:
V 0.3333 0.6667 0.0779 (multiplicity 4)
In 0.3333 0.6667 0.7500 (multiplicity 2)
C 0.0000 0.0000 0.0000 (multiplicity 2)



Entry 14:
The following is a DFT calculation (r²SCAN) of a geometry-optimized Yb3InC structure.

Its crystal system is cubic. The calculated formation energy comes out at -0.759 eV/atom.

a b c (Å): 4.782 4.782 4.782
angles (deg): 90.00 90.00 90.00
Space group Pm-3m (No. 221)
Unique sites:
Yb 0.000 0.000 0.500 (multiplicity 3)
In 0.500 0.500 0.500 (multiplicity 1)
C 0.000 0.000 0.000 (multiplicity 1)



Entry 15:
The following is a DFT calculation (r²SCAN) of a geometry-optimized U2IrC2 structure.

Its crystal system is tetragonal. The calculated formation energy comes out at -0.502 eV/atom.

a b c (Å): 3.490 3.490 12.532
angles (deg): 90.00 90.00 90.00
Space group I4/mmm (No. 139)
Unique sites:
U 0.000 0.000 0.146 (multiplicity 4)
Ir 0.000 0.000 0.500 (multiplicity 2)
C 0.000 0.000 0.330 (multiplicity 4)



Entry 16:
The following is a DFT calculation (r²SCAN) of a geometry-optimized K2CN2 structure.

Its crystal system is monoclinic. The calculated formation energy comes out at -0.615 eV/atom.

a b c (Å): 5.771 5.679 5.771
angles (deg): 90.00 108.46 90.00
Space group C2/m (No. 12)
Unique sites:
K 0.174 0.000 0.288 (multiplicity 4)
C 0.000 0.500 0.000 (multiplicity 2)
N 0.157 0.500 0.204 (multiplicity 4)



Entry 17:
The following is a DFT calculation (r²SCAN) of a geometry-optimized KC2N3 structure.

Its crystal system is monoclinic. The calculated formation energy comes out at -0.273 eV/atom.

a b c (Å): 3.723 11.908 24.550
angles (deg): 90.00 94.75 90.00
Space group P2_1/c (No. 14)
Unique sites:
K 0.076 0.150 0.015 (multiplicity 4)
K 0.133 0.590 0.100 (multiplicity 4)
K 0.394 0.004 0.245 (multiplicity 4)
C 0.036 0.716 0.793 (multiplicity 4)
C 0.220 0.247 0.292 (multiplicity 4)
C 0.233 0.642 0.351 (multiplicity 4)
C 0.265 0.676 0.880 (multiplicity 4)
C 0.429 0.010 0.903 (multiplicity 4)
C 0.467 0.628 0.967 (multiplicity 4)
N 0.089 0.673 0.301 (multiplicity 4)
N 0.116 0.178 0.756 (multiplicity 4)
N 0.125 0.636 0.831 (multiplicity 4)
N 0.286 0.530 0.357 (multiplicity 4)
N 0.323 0.715 0.392 (multiplicity 4)
N 0.329 0.185 0.327 (multiplicity 4)
N 0.351 0.596 0.919 (multiplicity 4)
N 0.426 0.149 0.487 (multiplicity 4)
N 0.442 0.555 0.558 (multiplicity 4)



So what do the calculations give for calculated volume? Going down the list: 4857.4, 1398.7, 652.2, 182.5, 912.9, 144.2, 628.5, 144.7, 107.4, 127.7, 94.2, 76.0, 106.2, 109.3, 152.6, 179.4, 1084.8 Å³/cell.
So what do the calculations give for VASP energy? Going down the list: -25.08, -25.44, -20.52, -25.20, -22.20, -21.13, -22.71, -24.83, -30.11, -20.98, -14.14, -14.90, -15.60, -29.18, -46.93, -8.66, -9.16 eV/atom.